# 1
The following is a DFT calculation (PBE) of crystalline Ga3B at its relaxed geometry.

- energy relative to the lowest polymorph listed for this composition (meV per atom) = 0
- total magnetic moment (μB/cell) = 0.0
- uncorrected energy (eV per atom) = -3.429

Cell lengths 7.0633, 7.0633, 3.1654 Å; angles 90.00, 90.00, 120.00 degrees
Closest atoms and distances in Å follow each position.
Space group P6_3/mmc (No. 194)
Inequivalent atoms, fractional coordinates:
Ga  0.1956  0.3912  0.2500 x6  2 B 2.31
B  0.3333  0.6667  0.7500 x2  6 Ga 2.31



# 2
The following is a DFT calculation (PBE) of crystalline Gd2Te3 at its relaxed geometry.

- uncorrected energy (eV per atom) = -8.955

Cell lengths 12.1083, 4.3456, 11.8760 Å; angles 90.00, 90.00, 90.00 degrees
Closest atoms and distances in Å follow each position.
Space group Pnma (No. 62)
Inequivalent atoms, fractional coordinates:
Gd  0.0170  0.2500  0.1882 x4  7 Te 3.13-3.22
Gd  0.1958  0.2500  0.4980 x4  7 Te 3.19-3.25
Te  0.0431  0.7500  0.3766 x4  5 Gd 3.13-3.25
Te  0.1185  0.2500  0.9432 x4  5 Gd 3.14-3.19
Te  0.2240  0.7500  0.6970 x4  4 Gd 3.14-3.23



# 3
The following is a DFT calculation (PBE) of crystalline Cs2TlAuF6 at its relaxed geometry.

- total magnetic moment (μB/cell) = 0.0
- uncorrected energy (eV per atom) = -3.810

Cell lengths 9.3870, 9.3870, 9.3870 Å; angles 90.00, 90.00, 90.00 degrees
Closest atoms and distances in Å follow each position.
Space group Fm-3m (No. 225)
Inequivalent atoms, fractional coordinates:
Cs  0.2500  0.2500  0.2500 x8  12 F 3.32
Tl  0.0000  0.0000  0.0000 x4  6 F 2.25
Au  0.0000  0.0000  0.5000 x4  6 F 2.45
F  0.0000  0.0000  0.2392 x24  1 Tl 2.25, 1 Au 2.45



# 4
The following is a DFT calculation (PBE) of crystalline Sr5Mg at its relaxed geometry.

- energy relative to the lowest polymorph listed for this composition (meV per atom) = 42
- total magnetic moment (μB/cell) = 0.0
- uncorrected energy (eV per atom) = -1.604

Cell lengths 6.6482, 4.2371, 20.8090 Å; angles 90.00, 90.00, 90.00 degrees
Closest atoms and distances in Å follow each position.
Space group Amm2 (No. 38)
Inequivalent atoms, fractional coordinates:
Sr  0.0000  0.0000  0.0000 x2  2 Mg 3.81, 8 Sr 3.99-4.24
Sr  0.0000  0.0000  0.3046 x2  2 Mg 3.81, 8 Sr 4.04-4.26
Sr  0.5000  0.0000  0.1062 x2  8 Sr 3.88-4.24, 4 Mg 4.06
Sr  0.5000  0.0000  0.4328 x2  12 Sr 4.13-4.26
Sr  0.5000  0.0000  0.7622 x2  10 Sr 3.88-4.24, 2 Mg 4.03
Mg  0.0000  0.0000  0.6523 x2  10 Sr 3.81-4.06, 2 Mg 4.24



# 5
The following is a DFT calculation (PBE) of crystalline Ce10S14O at its relaxed geometry.

- total magnetic moment (μB/cell) = 80.6
- uncorrected energy (eV per atom) = -6.996

Cell lengths 15.0487, 15.0487, 20.0127 Å; angles 90.00, 90.00, 90.00 degrees
Closest atoms and distances in Å follow each position.
Space group I4_1/acd (No. 142, origin choice 2)
Inequivalent atoms, fractional coordinates:
Ce  0.0064  0.1172  0.3074 x32  1 O 2.41
Ce  0.1291  0.0284  0.5476 x32  7 S 2.81-2.95
Ce  0.1356  0.1144  0.1250 x16  8 S 2.85-3.04
S  0.0242  0.1179  0.0033 x32  4 Ce 2.78-2.96
S  0.0382  0.0716  0.6717 x32  5 Ce 2.85-2.95
S  0.1469  0.0000  0.2500 x16  6 Ce 2.85-3.04
S  0.1567  0.0723  0.4071 x32  5 Ce 2.88-3.09
O  0.0000  0.2500  0.3750 x8  4 Ce 2.41



# 6
The following is a DFT calculation (PBE) of crystalline ErMg5 at its relaxed geometry.

- uncorrected energy (eV per atom) = -2.082

Cell lengths 12.4692, 3.2544, 7.5362 Å; angles 90.00, 105.22, 90.00 degrees
Closest atoms and distances in Å follow each position.
Space group Cm (No. 8)
Inequivalent atoms, fractional coordinates:
Er  0.0000  0.0000  0.0000 x2  10 Mg 3.25-3.40, 2 Er 3.25
Mg  0.1251  0.5000  0.7360 x2  9 Mg 3.15-3.25, 2 Er 3.27
Mg  0.1722  0.5000  0.3458 x2  10 Mg 3.15-3.41, 2 Er 3.33
Mg  0.2814  0.0000  0.0752 x2  9 Mg 3.18-3.29, 3 Er 3.35-3.40
Mg  0.3310  0.0000  0.6682 x2  9 Mg 3.15-3.28, 2 Er 3.25
Mg  0.4532  0.5000  0.4128 x2  11 Mg 3.20-3.41, 1 Er 3.31



# 7
The following is a DFT calculation (PBE) of crystalline NaAgI2O3 at its relaxed geometry.

- energy relative to the lowest polymorph listed for this composition (meV per atom) = 108
- total magnetic moment (μB/cell) = 31.6
- uncorrected energy (eV per atom) = -3.339

Cell lengths 7.5718, 20.5339, 9.7106 Å; angles 90.00, 90.00, 90.00 degrees
Closest atoms and distances in Å follow each position.
Space group Pbca (No. 61)
Inequivalent atoms, fractional coordinates:
Na  0.1625  0.1111  0.1788 x8  2 O 2.31-2.32
Ag  0.0258  0.7429  0.8672 x8  1 O 2.17
I  0.1055  0.1213  0.5077 x8  1 Ag 2.95, 1 O 3.09, 1 Na 3.23
I  0.1162  0.1987  0.8910 x8  3 Ag 2.85-2.87
O  0.0709  0.0121  0.8188 x8  1 O 1.24
O  0.1089  0.6615  0.2973 x8  1 Ag 2.17, 2 Na 2.31-2.32
O  0.1360  0.0411  0.9184 x8  1 O 1.24



# 8
The following is a DFT calculation (PBE) of crystalline Si at its relaxed geometry.

- energy relative to the lowest polymorph listed for this composition (meV per atom) = 373
- total magnetic moment (μB/cell) = 0.0
- uncorrected energy (eV per atom) = -5.053

Cell lengths 5.0470, 5.4328, 6.9023 Å; angles 70.46, 70.80, 83.80 degrees
Closest atoms and distances in Å follow each position.
Space group P1 (No. 1)
Inequivalent atoms, fractional coordinates:
Si  0.0000  0.0000  0.0000 x1  4 Si 2.34-2.37
Si  0.0000  0.4403  0.9735 x1  5 Si 2.34-2.53
Si  0.2995  0.6667  0.5933 x1  5 Si 2.37-2.58
Si  0.3039  0.6458  0.0911 x1  5 Si 2.37-2.58
Si  0.6849  0.6550  0.2415 x1  5 Si 2.37-2.58
Si  0.7003  0.6600  0.7380 x1  5 Si 2.37-2.58
Si  0.9938  0.4617  0.4651 x1  5 Si 2.34-2.52
Si  0.9959  0.0161  0.6558 x1  4 Si 2.34-2.37